VASP calculation (GGA-PBE) on Li9Sb3S after structural relaxation.

## Properties
Total energy ... -3.2697 eV/atom
MP2020-corrected energy ... -172.037 eV for the cell shown
Total magnetization ... 0.0 μB/cell

The structure in CIF format:
```
data_Li9Sb3S
_cell_length_a 7.7658
_cell_length_b 9.4498
_cell_length_c 14.5961
_cell_angle_alpha 90.00
_cell_angle_beta 107.50
_cell_angle_gamma 90.00
_space_group_name_H-M_alt 'P 1 21/c 1'
_space_group_IT_number 14
loop_
_space_group_symop_operation_xyz
'x,y,z'
'-x,-y,-z'
'-x,y+1/2,-z+1/2'
'x,-y+1/2,z+1/2'
loop_
_atom_site_label
_atom_site_fract_x
_atom_site_fract_y
_atom_site_fract_z
Li1 0.0124 0.0526 0.3489
Li2 0.0419 0.6611 0.5012
Li3 0.1447 0.1908 0.8394
Li4 0.1957 0.7111 0.8316
Li5 0.2013 0.0141 0.1855
Li6 0.2287 0.5572 0.0404
Li7 0.3674 0.5589 0.2408
Li8 0.4022 0.2482 0.0485
Li9 0.4556 0.6857 0.6193
Sb1 0.1665 0.1965 0.6544
Sb2 0.3195 0.5403 0.4356
Sb3 0.3897 0.0534 0.3969
S1 0.1733 0.7418 0.6600
```

VASP calculation (GGA-PBE) on LiSbS after structural relaxation.

## Properties
Total energy ... -4.1135 eV/atom
Maximum piezoelectric response ... 0.15 C/m²
MP2020-corrected energy ... -25.687 eV for the cell shown
Total magnetization ... 0.0 μB/cell
Relative energy among the computed polymorphs ... 0.000 eV per atom

The structure in CIF format:
```
data_LiSbS
_cell_length_a 4.4390
_cell_length_b 4.5348
_cell_length_c 7.1736
_cell_angle_alpha 88.84
_cell_angle_beta 89.77
_cell_angle_gamma 89.75
_space_group_name_H-M_alt 'P 1'
_space_group_IT_number 1
loop_
_space_group_symop_operation_xyz
'x,y,z'
loop_
_atom_site_label
_atom_site_fract_x
_atom_site_fract_y
_atom_site_fract_z
Li1 0.0000 0.0000 0.0000
Li2 0.4991 0.4973 0.9932
Sb1 0.4774 0.0053 0.5045
Sb2 0.9719 0.4410 0.4867
S1 0.4984 0.9996 0.8477
S2 0.9965 0.4923 0.1446
```

VASP calculation (GGA-PBE) on Li6Sb3S after structural relaxation.

## Properties
Total energy ... -3.4297 eV/atom
MP2020-corrected energy ... -69.599 eV for the cell shown
Total magnetization ... 0.0 μB/cell

The structure in CIF format:
```
data_Li6Sb3S
_cell_length_a 8.0653
_cell_length_b 5.8854
_cell_length_c 11.6493
_cell_angle_alpha 90.00
_cell_angle_beta 130.40
_cell_angle_gamma 90.00
_space_group_name_H-M_alt 'P 1 21/c 1'
_space_group_IT_number 14
loop_
_space_group_symop_operation_xyz
'x,y,z'
'-x,-y,-z'
'-x,y+1/2,-z+1/2'
'x,-y+1/2,z+1/2'
loop_
_atom_site_label
_atom_site_fract_x
_atom_site_fract_y
_atom_site_fract_z
Li1 0.0804 0.0320 0.2300
Li2 0.2817 0.2333 0.0646
Li3 0.3052 0.7425 0.6036
Sb1 0.3245 0.0021 0.8333
Sb2 0.5000 0.0000 0.5000
S1 0.0000 0.0000 0.0000
```

VASP calculation (GGA-PBE) on Li8SbS6 after structural relaxation.

## Properties
Total energy ... -4.0017 eV/atom
MP2020-corrected energy ... -126.086 eV for the cell shown
Total magnetization ... 2.0 μB/cell
Relative energy among the computed polymorphs ... 0.004 eV per atom

The structure in CIF format:
```
data_Li8SbS6
_cell_length_a 7.0666
_cell_length_b 7.0666
_cell_length_c 13.4617
_cell_angle_alpha 90.00
_cell_angle_beta 90.00
_cell_angle_gamma 120.00
_space_group_name_H-M_alt 'P 63 c m'
_space_group_IT_number 185
_space_group_name_Hall 'P 6c -2'
loop_
_atom_site_label
_atom_site_fract_x
_atom_site_fract_y
_atom_site_fract_z
Li1 0.0000 0.3243 0.0000
Li2 0.0000 0.3863 0.3670
Li3 0.3333 0.6667 0.1319
Sb1 0.0000 0.0000 0.2283
S1 0.0000 0.0000 0.4177
S2 0.0000 0.3425 0.1850
S3 0.3333 0.6667 0.4490
```

VASP calculation (GGA-PBE) on Li8SbS6 after structural relaxation.

## Properties
Total energy ... -4.0058 eV/atom
MP2020-corrected energy ... -189.316 eV for the cell shown
Total magnetization ... 2.9 μB/cell
Relative energy among the computed polymorphs ... 0.000 eV per atom

The structure in CIF format:
```
data_Li8SbS6
_cell_length_a 6.8686
_cell_length_b 6.8686
_cell_length_c 18.9545
_cell_angle_alpha 90.00
_cell_angle_beta 90.00
_cell_angle_gamma 120.00
_space_group_name_H-M_alt 'R -3'
_space_group_IT_number 148
_space_group_name_Hall '-R 3'
loop_
_atom_site_label
_atom_site_fract_x
_atom_site_fract_y
_atom_site_fract_z
Li1 0.0000 0.0000 0.1557
Li2 0.0062 0.6914 0.7124
Sb1 0.0000 0.0000 0.5000
S1 0.0087 0.6521 0.2474
```

VASP calculation (GGA-PBE) on Li3SbS3 after structural relaxation.

## Properties
Total energy ... -4.0972 eV/atom
MP2020-corrected energy ... -241.515 eV for the cell shown
Total magnetization ... 0.0 μB/cell
Relative energy among the computed polymorphs ... 0.040 eV per atom

The structure in CIF format:
```
data_Li3SbS3
_cell_length_a 8.5169
_cell_length_b 10.5185
_cell_length_c 13.7317
_cell_angle_alpha 90.00
_cell_angle_beta 91.50
_cell_angle_gamma 90.00
_space_group_name_H-M_alt 'P 1 21/c 1'
_space_group_IT_number 14
loop_
_space_group_symop_operation_xyz
'x,y,z'
'-x,-y,-z'
'-x,y+1/2,-z+1/2'
'x,-y+1/2,z+1/2'
loop_
_atom_site_label
_atom_site_fract_x
_atom_site_fract_y
_atom_site_fract_z
Li1 0.0706 0.0418 0.3958
Li2 0.1572 0.0859 0.9190
Li3 0.1717 0.6148 0.7028
Li4 0.3027 0.5927 0.1749
Li5 0.3727 0.1065 0.4616
Li6 0.4282 0.5200 0.6051
Sb1 0.2291 0.7462 0.4424
Sb2 0.2503 0.2487 0.1933
S1 0.0464 0.2464 0.3175
S2 0.1658 0.0649 0.0944
S3 0.1728 0.0754 0.5809
S4 0.3190 0.5674 0.8492
S5 0.3303 0.5687 0.3467
S6 0.4251 0.7448 0.5791
```

VASP calculation (GGA-PBE) on Li4SnS4 after structural relaxation.

## Properties
Total energy ... -4.1834 eV/atom
MP2020-corrected energy ... -158.650 eV for the cell shown

The structure in CIF format:
```
data_Li4SnS4
_cell_length_a 14.3194
_cell_length_b 7.9512
_cell_length_c 6.3868
_cell_angle_alpha 90.00
_cell_angle_beta 90.00
_cell_angle_gamma 90.00
_space_group_name_H-M_alt 'P n m a'
_space_group_IT_number 62
loop_
_space_group_symop_operation_xyz
'x,y,z'
'-x,-y,-z'
'-x+1/2,-y,z+1/2'
'x+1/2,y,-z+1/2'
'x+1/2,-y+1/2,-z+1/2'
'-x+1/2,y+1/2,z+1/2'
'-x,y+1/2,-z'
'x,-y+1/2,z'
loop_
_atom_site_label
_atom_site_fract_x
_atom_site_fract_y
_atom_site_fract_z
Li1 0.0000 0.0000 0.0000
Li2 0.0902 0.2500 0.3681
Li3 0.1778 0.5037 0.8218
Sn1 0.0913 0.7500 0.3584
S1 0.0704 0.2500 0.7625
S2 0.0828 0.7500 0.7360
S3 0.1599 0.0001 0.2114
```

VASP calculation (GGA-PBE) on LiSnS2 after structural relaxation.

## Properties
Total energy ... -4.2190 eV/atom
MP2020-corrected energy ... -17.882 eV for the cell shown
Total magnetization ... 0.0 μB/cell

The structure in CIF format:
```
data_LiSnS2
_cell_length_a 3.7726
_cell_length_b 3.7726
_cell_length_c 6.5083
_cell_angle_alpha 90.00
_cell_angle_beta 90.00
_cell_angle_gamma 120.00
_space_group_name_H-M_alt 'P -3 m 1'
_space_group_IT_number 164
_space_group_name_Hall '-P 3 2"'
loop_
_atom_site_label
_atom_site_fract_x
_atom_site_fract_y
_atom_site_fract_z
Li1 0.0000 0.0000 0.0000
Sn1 0.0000 0.0000 0.5000
S1 0.3333 0.6667 0.7558
```

VASP calculation (GGA-PBE) on LiSnS2 after structural relaxation.

## Properties
Total energy ... -4.2574 eV/atom
MP2020-corrected energy ... -54.106 eV for the cell shown
Total magnetization ... 0.0 μB/cell

The structure in CIF format:
```
data_LiSnS2
_cell_length_a 3.8021
_cell_length_b 3.8021
_cell_length_c 18.9157
_cell_angle_alpha 90.00
_cell_angle_beta 90.00
_cell_angle_gamma 120.00
_space_group_name_H-M_alt 'R -3 m'
_space_group_IT_number 166
_space_group_name_Hall '-R 3 2"'
loop_
_atom_site_label
_atom_site_fract_x
_atom_site_fract_y
_atom_site_fract_z
Li1 0.0000 0.0000 0.0000
Sn1 0.0000 0.0000 0.5000
S1 0.0000 0.0000 0.2533
```

VASP calculation (GGA-PBE) on Li4TiS4 after structural relaxation.

## Properties
Total energy ... -4.8195 eV/atom
MP2020-corrected energy ... -363.101 eV for the cell shown
Total magnetization ... 0.0 μB/cell
Relative energy among the computed polymorphs ... 0.069 eV per atom

The structure in CIF format:
```
data_Li4TiS4
_cell_length_a 11.0271
_cell_length_b 11.0271
_cell_length_c 11.0271
_cell_angle_alpha 90.00
_cell_angle_beta 90.00
_cell_angle_gamma 90.00
_space_group_name_H-M_alt 'P -4 3 n'
_space_group_IT_number 218
_space_group_name_Hall 'P -4n 2 3'
loop_
_atom_site_label
_atom_site_fract_x
_atom_site_fract_y
_atom_site_fract_z
Li1 0.0816 0.1504 0.6595
Li2 0.1620 0.1620 0.1620
Ti1 0.0000 0.0000 0.0000
Ti2 0.0000 0.5000 0.2500
S1 0.1155 0.3768 0.6355
S2 0.1180 0.1180 0.8820
```

VASP calculation (GGA-PBE) on Li4Ti5S12 after structural relaxation.

## Properties
Total energy ... -5.8393 eV/atom
MP2020-corrected energy ... -257.322 eV for the cell shown
Total magnetization ... 0.0 μB/cell

The structure in CIF format:
```
data_Li4Ti5S12
_cell_length_a 6.4933
_cell_length_b 11.6606
_cell_length_c 12.0161
_cell_angle_alpha 72.86
_cell_angle_beta 76.56
_cell_angle_gamma 78.38
_space_group_name_H-M_alt 'P -1'
_space_group_IT_number 2
loop_
_space_group_symop_operation_xyz
'x,y,z'
'-x,-y,-z'
loop_
_atom_site_label
_atom_site_fract_x
_atom_site_fract_y
_atom_site_fract_z
Li1 0.1440 0.4193 0.3893
Li2 0.1904 0.2331 0.9437
Li3 0.2256 0.0879 0.4783
Li4 0.3534 0.5928 0.0958
Ti1 0.0794 0.5740 0.8532
Ti2 0.2387 0.9084 0.2237
Ti3 0.3082 0.9077 0.8223
Ti4 0.3107 0.7246 0.5774
Ti5 0.3757 0.4076 0.6398
S1 0.0344 0.2687 0.3074
S2 0.0405 0.4176 0.7705
S3 0.0688 0.0804 0.8430
S4 0.1585 0.8978 0.4173
S5 0.1799 0.7364 0.9307
S6 0.2472 0.4293 0.0160
S7 0.2550 0.5798 0.4828
S8 0.3284 0.2688 0.5530
S9 0.3895 0.0816 0.1156
S10 0.3975 0.8966 0.6331
S11 0.4499 0.7345 0.1976
S12 0.4536 0.5703 0.7277
```

> What is the MP2020-corrected energy in the seventh record?

-158.650 eV for the cell shown